A plane-wave DFT calculation with PBE-GGA was carried out for a geometry-optimized NaBiCSO7 structure.

Calculated values
* calculated total energy: -6.30 eV per atom
* symmetry: P2_1, No. 4
* ΔE_f: -1.90 eV/atom

Cell: 5.727 7.071 9.425 Å, 90.00 90.53 90.00°
Fractional coordinates of all 22 atoms:
Na: 0.247 0.000 0.206
Na: 0.753 0.500 0.794
Bi: 0.220 0.772 0.649
Bi: 0.780 0.272 0.351
C: 0.278 0.743 0.929
C: 0.722 0.243 0.071
S: 0.278 0.268 0.585
S: 0.722 0.768 0.415
O: 0.067 0.745 0.864
O: 0.158 0.436 0.648
O: 0.197 0.239 0.435
O: 0.210 0.103 0.675
O: 0.306 0.759 0.058
O: 0.456 0.726 0.837
O: 0.466 0.796 0.415
O: 0.534 0.296 0.585
O: 0.544 0.226 0.163
O: 0.694 0.259 0.942
O: 0.790 0.603 0.325
O: 0.803 0.739 0.565
O: 0.842 0.936 0.352
O: 0.933 0.245 0.136

A plane-wave DFT calculation with PBE-GGA was carried out for a geometry-optimized Na2SiBiCO7 structure.

Calculated values
* calculated total energy: -6.44 eV per atom
* symmetry: P2_1/m, No. 11
* ΔE_f: -2.19 eV/atom

Cell: 5.358 6.956 9.312 Å, 90.00 91.18 90.00°
Fractional coordinates of all 24 atoms:
Na: 0.231 0.007 0.221
Na: 0.231 0.493 0.221
Na: 0.769 0.507 0.779
Na: 0.769 0.993 0.779
Si: 0.290 0.750 0.584
Si: 0.710 0.250 0.416
Bi: 0.215 0.250 0.634
Bi: 0.785 0.750 0.366
C: 0.272 0.250 0.932
C: 0.728 0.750 0.068
O: 0.052 0.250 0.865
O: 0.175 0.565 0.670
O: 0.175 0.935 0.670
O: 0.198 0.750 0.412
O: 0.296 0.250 0.066
O: 0.401 0.250 0.412
O: 0.469 0.250 0.847
O: 0.531 0.750 0.153
O: 0.599 0.750 0.588
O: 0.704 0.750 0.934
O: 0.802 0.250 0.588
O: 0.825 0.065 0.330
O: 0.825 0.435 0.330
O: 0.948 0.750 0.135

A plane-wave DFT calculation with PBE-GGA was carried out for a geometry-optimized BiCO3 structure.

Calculated values
* calculated total energy: -6.79 eV per atom
* symmetry: P-1, No. 2
* ΔE_f: -1.61 eV/atom

Cell: 5.214 6.978 8.635 Å, 99.09 90.03 90.63°
Fractional coordinates of all 20 atoms:
Bi: 0.245 0.203 0.158
Bi: 0.252 0.634 0.337
Bi: 0.748 0.366 0.663
Bi: 0.755 0.797 0.842
C: 0.246 0.335 0.779
C: 0.261 0.846 0.723
C: 0.739 0.154 0.277
C: 0.754 0.665 0.221
O: 0.032 0.301 0.848
O: 0.044 0.865 0.653
O: 0.245 0.398 0.646
O: 0.266 0.803 0.864
O: 0.460 0.302 0.847
O: 0.477 0.866 0.650
O: 0.523 0.134 0.350
O: 0.540 0.698 0.153
O: 0.734 0.197 0.136
O: 0.755 0.602 0.354
O: 0.956 0.135 0.347
O: 0.968 0.699 0.152

A plane-wave DFT calculation with PBE-GGA was carried out for a geometry-optimized BiOs2C6O6 structure.

Calculated values
* calculated total energy: -8.03 eV per atom
* symmetry: C2/c, No. 15
* ΔE_f: -0.87 eV/atom

Cell: 9.333 9.333 12.517 Å, 93.59 93.59 86.63°
Fractional coordinates of all 60 atoms:
Bi: 0.017 0.203 0.290
Bi: 0.203 0.017 0.790
Bi: 0.797 0.983 0.210
Bi: 0.983 0.797 0.710
Os: 0.170 0.764 0.910
Os: 0.211 0.577 0.718
Os: 0.236 0.830 0.590
Os: 0.423 0.789 0.782
Os: 0.577 0.211 0.218
Os: 0.764 0.170 0.410
Os: 0.789 0.423 0.282
Os: 0.830 0.236 0.090
C: 0.011 0.282 0.046
C: 0.063 0.474 0.770
C: 0.103 0.802 0.471
C: 0.188 0.495 0.575
C: 0.198 0.897 0.029
C: 0.278 0.610 0.977
C: 0.282 0.011 0.546
C: 0.357 0.437 0.761
C: 0.390 0.722 0.523
C: 0.437 0.357 0.261
C: 0.474 0.063 0.270
C: 0.495 0.188 0.075
C: 0.505 0.812 0.925
C: 0.526 0.937 0.730
C: 0.563 0.643 0.739
C: 0.610 0.278 0.477
C: 0.643 0.563 0.239
C: 0.718 0.989 0.454
C: 0.722 0.390 0.023
C: 0.802 0.103 0.971
C: 0.812 0.505 0.425
C: 0.897 0.198 0.529
C: 0.937 0.526 0.230
C: 0.989 0.718 0.954
O: 0.025 0.785 0.395
O: 0.026 0.590 0.197
O: 0.122 0.310 0.018
O: 0.168 0.440 0.490
O: 0.215 0.975 0.105
O: 0.310 0.122 0.518
O: 0.342 0.437 0.283
O: 0.342 0.520 0.023
O: 0.410 0.974 0.303
O: 0.437 0.342 0.783
O: 0.440 0.168 0.990
O: 0.480 0.658 0.477
O: 0.520 0.342 0.523
O: 0.560 0.832 0.010
O: 0.563 0.658 0.217
O: 0.590 0.026 0.697
O: 0.658 0.480 0.977
O: 0.658 0.563 0.717
O: 0.690 0.878 0.482
O: 0.785 0.025 0.895
O: 0.832 0.560 0.510
O: 0.878 0.690 0.982
O: 0.974 0.410 0.803
O: 0.975 0.215 0.605

A plane-wave DFT calculation with PBE-GGA was carried out for a geometry-optimized BiRu2C6O6 structure.

Calculated values
* calculated total energy: -7.78 eV per atom
* symmetry: P2_1/c, No. 14
* ΔE_f: -0.89 eV/atom

Cell: 11.758 7.686 17.220 Å, 90.00 131.85 90.00°
Fractional coordinates of all 60 atoms:
Bi: 0.027 0.250 0.039
Bi: 0.027 0.250 0.539
Bi: 0.973 0.750 0.461
Bi: 0.973 0.750 0.961
Ru: 0.138 0.035 0.464
Ru: 0.138 0.465 0.964
Ru: 0.194 0.564 0.154
Ru: 0.194 0.936 0.654
Ru: 0.806 0.064 0.346
Ru: 0.806 0.436 0.846
Ru: 0.862 0.535 0.036
Ru: 0.862 0.965 0.536
C: 0.040 0.092 0.325
C: 0.040 0.408 0.825
C: 0.224 0.723 0.723
C: 0.224 0.777 0.223
C: 0.259 0.644 0.974
C: 0.259 0.856 0.474
C: 0.268 0.075 0.772
C: 0.268 0.425 0.272
C: 0.292 0.209 0.524
C: 0.292 0.291 0.024
C: 0.385 0.575 0.191
C: 0.385 0.925 0.691
C: 0.615 0.075 0.309
C: 0.615 0.425 0.809
C: 0.708 0.709 0.976
C: 0.708 0.791 0.476
C: 0.732 0.575 0.728
C: 0.732 0.925 0.228
C: 0.741 0.144 0.526
C: 0.741 0.356 0.026
C: 0.776 0.223 0.777
C: 0.776 0.277 0.277
C: 0.960 0.592 0.175
C: 0.960 0.908 0.675
O: 0.004 0.625 0.257
O: 0.004 0.875 0.757
O: 0.248 0.596 0.768
O: 0.248 0.904 0.268
O: 0.317 0.156 0.845
O: 0.317 0.344 0.345
O: 0.333 0.750 0.478
O: 0.333 0.750 0.978
O: 0.387 0.187 0.058
O: 0.387 0.313 0.558
O: 0.491 0.088 0.276
O: 0.491 0.412 0.776
O: 0.509 0.588 0.224
O: 0.509 0.912 0.724
O: 0.613 0.687 0.442
O: 0.613 0.813 0.942
O: 0.667 0.250 0.022
O: 0.667 0.250 0.522
O: 0.683 0.656 0.655
O: 0.683 0.844 0.155
O: 0.752 0.096 0.732
O: 0.752 0.404 0.232
O: 0.996 0.125 0.243
O: 0.996 0.375 0.743

A plane-wave DFT calculation with PBE-GGA was carried out for a geometry-optimized Bi2Ru3C9O9 structure.

Calculated values
* calculated total energy: -7.70 eV per atom
* symmetry: P-1, No. 2
* ΔE_f: -0.87 eV/atom

Cell: 9.228 9.467 23.450 Å, 86.25 88.37 64.27°
Fractional coordinates of all 92 atoms:
Bi: 0.073 0.163 0.462
Bi: 0.108 0.136 0.966
Bi: 0.109 0.310 0.787
Bi: 0.204 0.211 0.283
Bi: 0.796 0.789 0.717
Bi: 0.891 0.690 0.213
Bi: 0.892 0.864 0.034
Bi: 0.927 0.837 0.538
Ru: 0.043 0.802 0.649
Ru: 0.093 0.729 0.128
Ru: 0.152 0.360 0.385
Ru: 0.174 0.357 0.899
Ru: 0.256 0.039 0.861
Ru: 0.305 0.009 0.380
Ru: 0.695 0.991 0.620
Ru: 0.744 0.961 0.139
Ru: 0.826 0.643 0.101
Ru: 0.848 0.640 0.615
Ru: 0.907 0.271 0.872
Ru: 0.957 0.198 0.351
C: 0.027 0.571 0.889
C: 0.034 0.004 0.652
C: 0.050 0.465 0.614
C: 0.139 0.723 0.723
C: 0.141 0.851 0.178
C: 0.236 0.737 0.068
C: 0.241 0.387 0.455
C: 0.243 0.699 0.609
C: 0.245 0.528 0.156
C: 0.248 0.366 0.973
C: 0.256 0.462 0.338
C: 0.262 0.843 0.890
C: 0.307 0.837 0.428
C: 0.319 0.969 0.785
C: 0.351 0.372 0.860
C: 0.424 0.877 0.321
C: 0.463 0.996 0.886
C: 0.484 0.020 0.412
C: 0.516 0.980 0.588
C: 0.537 0.004 0.114
C: 0.576 0.123 0.679
C: 0.649 0.628 0.140
C: 0.681 0.031 0.215
C: 0.693 0.163 0.572
C: 0.738 0.157 0.110
C: 0.744 0.538 0.662
C: 0.752 0.634 0.027
C: 0.755 0.472 0.844
C: 0.757 0.301 0.391
C: 0.759 0.613 0.545
C: 0.764 0.263 0.932
C: 0.859 0.149 0.822
C: 0.861 0.277 0.277
C: 0.950 0.535 0.386
C: 0.966 0.996 0.348
C: 0.973 0.429 0.111
O: 0.027 0.129 0.655
O: 0.060 0.296 0.117
O: 0.173 0.354 0.614
O: 0.173 0.926 0.208
O: 0.208 0.675 0.766
O: 0.278 0.718 0.905
O: 0.299 0.383 0.016
O: 0.300 0.407 0.495
O: 0.316 0.534 0.314
O: 0.316 0.725 0.455
O: 0.338 0.735 0.037
O: 0.347 0.406 0.171
O: 0.371 0.632 0.590
O: 0.371 0.909 0.743
O: 0.402 0.979 0.568
O: 0.407 0.035 0.099
O: 0.464 0.376 0.838
O: 0.492 0.216 0.710
O: 0.508 0.784 0.290
O: 0.536 0.624 0.162
O: 0.593 0.965 0.901
O: 0.598 0.021 0.432
O: 0.629 0.091 0.257
O: 0.629 0.368 0.410
O: 0.653 0.594 0.829
O: 0.662 0.265 0.963
O: 0.684 0.275 0.545
O: 0.684 0.466 0.686
O: 0.700 0.593 0.505
O: 0.701 0.617 0.984
O: 0.722 0.282 0.095
O: 0.792 0.325 0.234
O: 0.827 0.074 0.792
O: 0.827 0.646 0.386
O: 0.940 0.704 0.883
O: 0.973 0.871 0.345

no.,total magnetization (Bohr magnetons per cell)
1,0.0
2,0.0
3,0.0
4,0.0
5,0.0
6,0.1